(1)
Material: PrVGe3
Method: DFT, r²SCAN
State: optimized geometry

Geometry as extended XYZ:
```
10
Lattice="6.234 0.000 0.000 -3.117 5.399 0.000 0.000 0.000 5.774" Properties=species:S:1:pos:R:3 pbc="T T T"
Pr 0.000 3.599 1.443
Pr 3.117 1.800 4.330
V 0.000 0.000 0.000
V 0.000 0.000 2.887
Ge 0.000 2.129 4.330
Ge -1.274 4.335 4.330
Ge 1.844 1.064 1.443
Ge 1.274 4.335 4.330
Ge 4.391 1.064 1.443
Ge 3.117 3.270 1.443
```

Summary:
- ΔH_f (0 K) (eV/atom) = -0.579
- symmetry = No. 194
- theoretical density (g/cm3) = 7.0
- crystal system = hexagonal



(2)
Material: Ge3Pt2
Method: DFT, r²SCAN
State: optimized geometry

Geometry as extended XYZ:
```
20
Lattice="16.384 0.000 0.000 0.000 3.469 0.000 0.000 0.000 6.205" Properties=species:S:1:pos:R:3 pbc="T T T"
Ge 1.160 0.867 0.388
Ge 1.827 2.602 3.652
Ge 3.800 2.602 5.213
Ge 4.391 0.867 2.111
Ge 6.365 0.867 0.549
Ge 7.032 2.602 3.490
Ge 9.352 0.867 2.715
Ge 10.019 2.602 5.656
Ge 11.992 2.602 4.094
Ge 12.583 0.867 0.991
Ge 14.557 0.867 2.553
Ge 15.224 2.602 5.817
Pt 0.112 0.867 4.321
Pt 2.797 2.602 1.291
Pt 5.394 0.867 4.393
Pt 8.080 2.602 1.219
Pt 8.303 0.867 4.986
Pt 10.989 2.602 1.812
Pt 13.586 0.867 4.914
Pt 16.272 2.602 1.883
```

Summary:
- ΔH_f (0 K) (eV/atom) = -0.422
- symmetry = No. 62
- theoretical density (g/cm3) = 11.5
- crystal system = orthorhombic



(3)
Material: GePt
Method: DFT, r²SCAN
State: optimized geometry

Geometry as extended XYZ:
```
8
Lattice="5.756 0.000 0.000 0.000 3.730 0.000 0.000 0.000 6.112" Properties=species:S:1:pos:R:3 pbc="T T T"
Ge 1.071 0.933 0.538
Ge 1.807 2.798 3.594
Ge 3.949 0.933 2.518
Ge 4.685 2.798 5.574
Pt 0.011 2.798 1.878
Pt 2.867 0.933 4.934
Pt 2.889 2.798 1.178
Pt 5.745 0.933 4.234
```

Summary:
- ΔH_f (0 K) (eV/atom) = -0.486
- symmetry = No. 62
- theoretical density (g/cm3) = 13.6
- crystal system = orthorhombic



| no. | E (eV/atom) |
| --- | --- |
| 1 | -17.601 |
| 2 | -29.340 |
| 3 | -33.166 |